Record 1
Here is BaMg14VO16 after structural relaxation from the Materials Project database. Energies are from GGA+U.

Geometry as extended XYZ:
```
32
Lattice="4.497 0.000 0.000 0.000 8.715 0.000 0.000 0.000 8.835" Properties=species:S:1:pos:R:3 pbc="T T T"
Ba 0.000 0.000 0.000
Mg 0.000 2.250 2.281
Mg 0.000 2.250 6.555
Mg 0.000 4.357 0.000
Mg 0.000 4.357 4.418
Mg 0.000 6.464 2.281
Mg 0.000 6.464 6.555
Mg 2.249 0.000 2.320
Mg 2.249 0.000 6.515
Mg 2.249 2.201 4.418
Mg 2.249 2.302 0.000
Mg 2.249 4.357 2.235
Mg 2.249 4.357 6.601
Mg 2.249 6.413 0.000
Mg 2.249 6.514 4.418
V 0.000 0.000 4.418
O 0.000 0.000 2.417
O 0.000 0.000 6.418
O 0.000 2.251 4.418
O 0.000 2.453 0.000
O 0.000 4.357 2.282
O 0.000 4.357 6.553
O 0.000 6.262 0.000
O 0.000 6.463 4.418
O 2.249 0.000 0.000
O 2.249 0.000 4.418
O 2.249 2.183 2.220
O 2.249 2.183 6.616
O 2.249 4.357 0.000
O 2.249 4.357 4.418
O 2.249 6.532 2.220
O 2.249 6.532 6.616
```

energy of formation: -2.759 eV/atom
total magnetization: 1.0 μB/cell
calculated total energy: -5.88 eV per atom
excess energy over the best structure of this formula in the dataset: 0.0362 eV per atom

***

Record 2
Here is Li3FeB4O9 after structural relaxation from the Materials Project database. Energies are from GGA+U.

Geometry as extended XYZ:
```
34
Lattice="5.713 0.000 0.000 0.000 8.715 0.000 -1.351 0.000 6.651" Properties=species:S:1:pos:R:3 pbc="T T T"
Li 0.428 2.179 0.061
Li 1.067 4.909 2.265
Li 1.067 8.164 2.265
Li 3.296 0.551 4.386
Li 3.296 3.806 4.386
Li 3.935 6.536 6.591
Fe 0.591 2.179 4.125
Fe 3.772 6.536 2.527
B 0.240 4.772 5.180
B 0.240 8.300 5.180
B 2.068 6.536 0.217
B 2.354 2.179 1.807
B 2.008 6.536 4.845
B 2.295 2.179 6.435
B 4.122 0.415 1.471
B 4.122 3.943 1.471
O -0.454 0.705 4.751
O -0.454 3.653 4.751
O -0.079 5.342 6.391
O -0.079 7.731 6.391
O 1.000 2.179 2.310
O 1.253 5.289 4.362
O 1.253 7.784 4.362
O 2.322 2.179 0.354
O 2.069 6.536 1.674
O 2.294 2.179 4.978
O 2.040 6.536 6.297
O 3.110 0.931 2.289
O 3.110 3.426 2.289
O 3.362 6.536 4.341
O 4.442 0.984 0.261
O 4.442 3.374 0.261
O 4.816 5.063 1.901
O 4.816 8.010 1.901
```

energy of formation: -2.580 eV/atom
total magnetization: 10.0 μB/cell
calculated total energy: -7.11 eV per atom

***

Record 3
Here is V4O5F7 after structural relaxation from the Materials Project database. Energies are from GGA+U.

Geometry as extended XYZ:
```
16
Lattice="5.158 0.000 0.000 2.558 4.715 0.000 2.460 1.596 8.555" Properties=species:S:1:pos:R:3 pbc="T T T"
V 0.000 0.000 0.000
V 2.307 1.613 2.165
V 4.827 3.240 4.236
V 7.665 4.859 6.404
O 3.379 4.190 5.106
O 0.969 0.795 1.514
O 6.309 5.502 7.871
O 3.919 2.607 2.964
O 8.880 5.707 7.217
F 5.481 4.832 3.303
F 4.436 1.680 5.442
F 5.978 3.921 5.777
F 3.543 1.051 0.765
F 6.515 2.325 3.744
F 7.898 3.293 7.542
F 7.090 3.296 1.207
```

energy of formation: -2.750 eV/atom
calculated total energy: -6.56 eV per atom
excess energy over the best structure of this formula in the dataset: 0.0125 eV per atom

***

Record 4
Here is Li6V3P8O29 after structural relaxation from the Materials Project database. Energies are from GGA+U.

Geometry as extended XYZ:
```
92
Lattice="9.796 0.000 0.000 4.883 8.526 0.000 0.061 0.042 13.875" Properties=species:S:1:pos:R:3 pbc="T T T"
Li 0.000 0.000 0.000
Li 2.716 4.685 6.823
Li 6.311 7.758 5.157
Li 4.139 3.919 12.183
Li 4.754 2.760 5.163
Li 7.668 7.759 12.192
Li 4.132 0.026 6.846
Li 4.775 1.113 0.001
Li 7.012 4.796 7.642
Li 9.223 2.779 12.193
Li 11.209 4.710 0.005
Li 9.214 1.182 6.855
V 4.208 5.677 9.516
V 4.838 6.784 2.592
V 6.322 1.933 2.587
V 9.147 6.781 9.518
V 9.742 5.614 2.641
V 7.681 1.966 9.547
P 2.767 4.664 3.860
P 5.010 8.516 10.809
P 4.073 3.917 1.310
P 6.311 7.779 8.232
P 4.785 2.732 8.225
P 7.675 7.738 1.312
P 4.793 1.229 10.805
P 8.961 8.498 3.861
P 6.965 4.791 4.301
P 7.003 4.820 11.232
P 11.846 7.623 0.865
P 11.905 7.651 7.804
P 9.177 2.692 1.312
P 9.920 3.915 8.245
P 9.182 1.201 3.882
P 11.192 4.676 10.833
O 3.472 6.019 3.621
O 4.916 8.308 3.819
O 2.930 4.797 10.803
O 5.772 8.421 6.988
O 3.240 3.987 0.058
O 1.089 0.173 9.516
O 3.104 3.720 2.587
O 3.281 4.007 5.107
O 5.841 8.433 12.058
O 4.117 4.121 8.216
O 6.131 7.588 1.320
O 4.907 5.180 1.545
O 5.716 6.358 8.466
O 5.530 4.794 10.638
O 6.278 6.113 3.774
O 3.096 0.165 2.586
O 4.162 1.975 9.518
O 8.137 8.415 5.116
O 8.136 8.425 0.056
O 4.501 1.999 12.060
O 4.469 1.937 6.989
O 4.959 2.645 1.320
O 7.846 7.658 8.220
O 6.175 3.535 3.782
O 6.942 4.814 5.805
O 6.986 4.842 12.721
O 7.717 6.116 10.640
O 4.948 1.255 3.857
O 9.055 8.354 10.808
O 6.305 2.923 8.464
O 8.374 6.395 1.539
O 6.322 1.172 10.525
O 9.824 7.259 3.619
O 8.406 4.755 3.703
O 7.789 3.565 10.684
O 6.165 0.346 1.434
O 8.978 5.146 8.454
O 10.419 7.653 8.393
O 7.655 2.779 1.543
O 7.663 1.105 3.609
O 10.522 6.041 10.582
O 8.991 2.653 8.269
O 11.900 7.679 13.246
O 9.827 4.087 1.312
O 11.873 7.607 6.318
O 11.162 6.314 1.432
O 7.780 0.366 8.371
O 11.046 4.843 3.827
O 9.049 1.272 10.797
O 10.702 4.030 12.096
O 9.503 1.922 0.059
O 9.516 1.891 5.147
O 10.790 3.990 7.055
O 10.819 3.727 9.579
O 9.821 1.943 2.590
O 13.324 7.695 1.425
O 12.619 6.348 8.396
O 13.965 7.253 10.582
```

energy of formation: -2.658 eV/atom
total magnetization: 6.0 μB/cell
calculated total energy: -7.02 eV per atom
excess energy over the best structure of this formula in the dataset: 0.0050 eV per atom

***

Record 5
Here is BaV4ZnO8 after structural relaxation from the Materials Project database. Energies are from GGA+U.

Geometry as extended XYZ:
```
14
Lattice="5.490 0.000 0.000 -2.745 4.755 0.000 0.000 0.000 7.416" Properties=species:S:1:pos:R:3 pbc="T T T"
Ba 0.000 0.000 0.000
V 0.000 3.170 1.899
V 0.000 3.170 5.517
V 2.745 1.585 1.899
V 2.745 1.585 5.517
Zn 0.000 0.000 3.708
O -0.870 1.506 2.390
O -1.876 3.249 5.025
O 1.739 0.000 2.390
O 0.870 1.506 5.025
O 0.000 3.170 0.000
O 2.745 1.585 0.000
O 3.751 0.000 5.025
O 1.876 3.249 2.390
```

energy of formation: -2.316 eV/atom
total magnetization: 8.0 μB/cell
calculated total energy: -7.09 eV per atom

***

Record 6
Here is Fe3OF5 after structural relaxation from the Materials Project database. Energies are from GGA+U.

Geometry as extended XYZ:
```
18
Lattice="4.850 0.000 0.000 0.000 3.192 0.000 -0.262 0.000 14.473" Properties=species:S:1:pos:R:3 pbc="T T T"
Fe 0.000 0.000 0.000
Fe -0.113 0.000 9.688
Fe 2.071 1.596 11.904
Fe 2.294 1.596 7.236
Fe 2.517 1.596 2.569
Fe 4.701 0.000 4.785
O 1.290 0.000 11.173
O 3.297 0.000 3.300
F 0.817 1.596 8.637
F 0.945 1.596 3.785
F 0.788 1.596 13.519
F 1.318 0.000 6.217
F 1.458 0.000 1.472
F 3.130 0.000 13.001
F 3.269 0.000 8.256
F 3.799 1.596 0.954
F 3.643 1.596 10.688
F 3.770 1.596 5.836
```

energy of formation: -2.386 eV/atom
total magnetization: 26.0 μB/cell
calculated total energy: -5.74 eV per atom
excess energy over the best structure of this formula in the dataset: 0.0041 eV per atom

***

Q: Among the records above, which one has the highest energy of formation?
A: BaV4ZnO8